(1)
# Er2RuPt

Er2RuPt after structural relaxation (meta-GGA r2SCAN, the Materials Project database).

Calculated values
spin magnetization	0.000	μB per atom
formation enthalpy at 0 K	-0.93	eV per atom
symmetry	Fm-3m
E_tot	-37.12	eV per atom

The structure in extended XYZ format:
```
4
Lattice="0.0000 3.3892 3.3892 3.3892 0.0000 3.3892 3.3892 3.3892 0.0000" Properties=species:S:1:pos:R:3 pbc="T T T"
Er 1.6946 1.6946 1.6946
Er 5.0838 5.0838 5.0838
Ru 0.0000 0.0000 0.0000
Pt 3.3892 3.3892 3.3892
```

(2)
# CaMg2C3O9

CaMg2C3O9 after structural relaxation (meta-GGA r2SCAN, the Materials Project database).

Calculated values
spin magnetization	0.000	μB per atom
formation enthalpy at 0 K	-2.27	eV per atom
symmetry	P-3
E_tot	-8.87	eV per atom

The structure in extended XYZ format:
```
30
Lattice="4.7527 0.0000 0.0000 -2.3763 4.1159 0.0000 0.0000 0.0000 15.6175" Properties=species:S:1:pos:R:3 pbc="T T T"
Ca 0.0000 2.7440 5.1243
Ca 2.3763 1.3720 10.4932
Mg 0.0000 0.0000 0.0000
Mg 0.0000 0.0000 7.8087
Mg 0.0000 2.7440 13.1905
Mg 2.3763 1.3720 2.4269
C 0.0000 0.0000 3.6658
C 0.0000 0.0000 11.9516
C 0.0000 2.7440 1.2254
C 0.0000 2.7440 9.0247
C 2.3763 1.3720 6.5928
C 2.3763 1.3720 14.3921
O -0.5069 1.1835 11.9327
O -0.6370 1.6194 1.2259
O -1.2805 2.8783 9.0428
O -1.0980 3.9632 11.9327
O 0.7715 1.0307 3.6848
O 0.5239 1.5678 9.0428
O -0.6554 3.8579 1.2259
O 1.6197 0.3302 6.5747
O 1.0840 1.3614 14.3916
O 1.2924 2.7545 1.2259
O 0.7566 3.7858 9.0428
O 3.0317 0.2580 14.3916
O 1.8524 2.5482 6.5747
O 1.6049 3.0852 11.9327
O 3.4743 0.1528 3.6848
O 3.6569 1.2376 6.5747
O 3.0134 2.4965 14.3916
O 2.8832 2.9325 3.6848
```

(3)
# CdAs

CdAs after structural relaxation (meta-GGA r2SCAN, the Materials Project database).

Calculated values
spin magnetization	0.000	μB per atom
formation enthalpy at 0 K	-0.15	eV per atom
symmetry	Pbca
E_tot	-17.56	eV per atom

The structure in extended XYZ format:
```
16
Lattice="6.0338 0.0000 0.0000 0.0000 7.8732 0.0000 0.0000 0.0000 8.0928" Properties=species:S:1:pos:R:3 pbc="T T T"
Cd 0.2812 1.0238 1.1169
Cd 0.2812 2.9128 5.1632
Cd 2.7357 4.9604 1.1169
Cd 2.7357 6.8494 5.1632
Cd 3.2981 1.0238 2.9295
Cd 3.2981 2.9128 6.9759
Cd 5.7526 4.9604 2.9295
Cd 5.7526 6.8494 6.9759
As 0.7994 4.4496 7.3208
As 0.7994 7.3603 3.2745
As 2.2175 0.5130 7.3208
As 2.2175 3.4236 3.2745
As 3.8163 4.4496 4.8183
As 3.8163 7.3603 0.7719
As 5.2344 0.5130 4.8183
As 5.2344 3.4236 0.7719
```

(4)
# Cs3CdI5

Cs3CdI5 after structural relaxation (meta-GGA r2SCAN, the Materials Project database).

Calculated values
spin magnetization	0.000	μB per atom
formation enthalpy at 0 K	-1.45	eV per atom
symmetry	Pnma
E_tot	-25.70	eV per atom

The structure in extended XYZ format:
```
36
Lattice="10.1340 0.0000 0.0000 0.0000 11.9709 0.0000 0.0000 0.0000 15.0548" Properties=species:S:1:pos:R:3 pbc="T T T"
Cs 0.7950 0.2067 2.5667
Cs 0.7905 2.9927 6.7754
Cs 0.7950 5.7787 2.5667
Cs 4.2720 6.1922 10.0941
Cs 4.2765 8.9782 14.3028
Cs 4.2720 11.7641 10.0941
Cs 5.8619 0.2067 4.9607
Cs 5.8575 2.9927 0.7520
Cs 5.8619 5.7787 4.9607
Cs 9.3390 6.1922 12.4881
Cs 9.3435 8.9782 8.2794
Cs 9.3390 11.7641 12.4881
Cd 1.9145 2.9927 13.4257
Cd 3.1525 8.9782 5.8983
Cd 6.9815 2.9927 9.1565
Cd 8.2194 8.9782 1.6291
I 0.4498 8.9782 0.1026
I 1.3110 2.9927 10.7004
I 1.7744 8.9782 11.0783
I 1.8949 6.5903 6.5969
I 1.8949 11.3661 6.5969
I 3.1721 0.6048 14.1243
I 3.1721 5.3806 14.1243
I 3.2925 2.9927 3.5509
I 3.7560 8.9782 3.1730
I 4.6172 2.9927 7.6300
I 5.5168 8.9782 7.4249
I 6.3780 2.9927 11.8818
I 6.8414 8.9782 11.5039
I 6.9619 6.5903 0.9305
I 6.9619 11.3661 0.9305
I 8.2390 0.6048 8.4579
I 8.2390 5.3806 8.4579
I 8.3595 2.9927 3.9765
I 8.8230 8.9782 4.3544
I 9.6842 2.9927 14.9523
```

(5)
# NdHoAl4

NdHoAl4 after structural relaxation (meta-GGA r2SCAN, the Materials Project database).

Calculated values
spin magnetization	0.000	μB per atom
formation enthalpy at 0 K	-0.56	eV per atom
symmetry	F-43m
E_tot	-15.43	eV per atom

The structure in extended XYZ format:
```
6
Lattice="0.0000 3.9552 3.9552 3.9552 0.0000 3.9552 3.9552 3.9552 0.0000" Properties=species:S:1:pos:R:3 pbc="T T T"
Nd 0.0000 0.0000 0.0000
Ho 5.9328 5.9328 5.9328
Al 2.9674 2.9674 2.9674
Al 4.9429 4.9429 2.9674
Al 4.9429 2.9674 4.9429
Al 2.9674 4.9429 4.9429
```

(6)
# CsMnH4Cl3O2

CsMnH4Cl3O2 after structural relaxation (meta-GGA r2SCAN, the Materials Project database).

Calculated values
spin magnetization	0.455	μB per atom
formation enthalpy at 0 K	-1.44	eV per atom
symmetry	Pcca
E_tot	-9.07	eV per atom

The structure in extended XYZ format:
```
44
Lattice="9.0104 0.0000 0.0000 0.0000 7.2866 0.0000 0.0000 0.0000 11.4250" Properties=species:S:1:pos:R:3 pbc="T T T"
Cs 2.2526 0.0000 1.6864
Cs 2.2526 0.0000 7.3989
Cs 6.7578 0.0000 4.0261
Cs 6.7578 0.0000 9.7386
Mn 0.0000 3.4395 2.8563
Mn 0.0000 3.8472 8.5688
Mn 4.5052 3.4395 8.5688
Mn 4.5052 3.8472 2.8563
H 0.2005 2.2420 10.8307
H 0.2005 5.0447 5.1181
H 1.6001 2.1902 10.1129
H 1.6001 5.0964 4.4004
H 2.9051 2.1902 4.4004
H 2.9051 5.0964 10.1129
H 4.3047 2.2420 5.1181
H 4.3047 5.0447 10.8307
H 4.7057 2.2420 0.5944
H 4.7057 5.0447 6.3069
H 6.1053 2.1902 1.3121
H 6.1053 5.0964 7.0246
H 7.4103 2.1902 7.0246
H 7.4103 5.0964 1.3121
H 8.8098 2.2420 6.3069
H 8.8098 5.0447 0.5944
Cl 0.8119 1.6512 4.4679
Cl 0.8119 5.6354 10.1804
Cl 2.2526 3.6433 1.7106
Cl 2.2526 3.6433 7.4231
Cl 3.6933 1.6512 10.1804
Cl 3.6933 5.6354 4.4679
Cl 5.3171 1.6512 6.9572
Cl 5.3171 5.6354 1.2446
Cl 6.7578 3.6433 4.0019
Cl 6.7578 3.6433 9.7144
Cl 8.1985 1.6512 1.2446
Cl 8.1985 5.6354 6.9572
O 0.6372 2.2874 9.9541
O 0.6372 4.9992 4.2416
O 3.8680 2.2874 4.2416
O 3.8680 4.9992 9.9541
O 5.1424 2.2874 1.4709
O 5.1424 4.9992 7.1834
O 8.3732 2.2874 7.1834
O 8.3732 4.9992 1.4709
```